No. 1
Density functional theory data (GGA-PBE) for a geometry-optimized Na2TaHgF6 structure.

```
Na2TaHgF6
1.0
-3.161 -4.405 4.610
-3.988 2.632 5.274
-7.068 -0.818 -0.135
Na Ta Hg F
2 1 1 6
Cartesian
-10.663 -1.943 7.311 Na
-3.554 -0.648 2.437 Na
0.000 0.000 0.000 Ta
-7.108 -1.295 4.874 Hg
-4.684 -3.205 4.712 F
-7.084 -1.002 1.797 F
-9.533 0.615 5.037 F
-5.192 1.117 5.120 F
-9.025 -3.707 4.629 F
-7.133 -1.588 7.951 F
```

Summary:
spin magnetization	0.86	μB/f.u.
formation energy from the elements	-60.0	kcal/mol of atoms
corrected total energy (MP2020 scheme)	-52.32	eV for the cell shown
density	3.53	g/cm3

No. 2
Density functional theory data (GGA-PBE) for a geometry-optimized InF3 structure.

```
InF3
1.0
5.140 -2.753 0.000
5.140 2.753 0.000
3.665 0.000 4.535
In F
2 6
Cartesian
6.973 0.000 2.268 In
0.000 0.000 0.000 In
6.230 -1.053 0.601 F
5.883 1.700 1.667 F
8.627 0.647 1.134 F
8.062 -1.700 2.868 F
7.716 1.053 3.934 F
5.319 -0.647 3.401 F
```

Summary:
formation energy from the elements	-65.3	kcal/mol of atoms
corrected total energy (MP2020 scheme)	-39.65	eV for the cell shown
density	4.45	g/cm3

No. 3
Density functional theory data (GGA-PBE) for a geometry-optimized TbGa2Co3 structure.

```
TbGa2Co3
1.0
2.610 -4.521 0.000
2.610 4.521 0.000
0.000 0.000 3.777
Tb Ga Co
1 2 3
Cartesian
0.000 0.000 0.000 Tb
2.610 -1.507 0.000 Ga
2.610 1.507 0.000 Ga
2.610 0.000 1.888 Co
1.305 2.260 1.888 Co
1.305 -2.260 1.888 Co
```

Summary:
formation energy from the elements	-8.8	kcal/mol of atoms
density	8.85	g/cm3

No. 4
Density functional theory data (GGA-PBE) for a geometry-optimized Zn4CdS5 structure.

```
Zn4CdS5
1.0
1.964 -3.402 0.000
1.964 3.402 0.000
0.000 0.000 32.335
Zn Cd S
8 2 10
Cartesian
1.964 1.134 16.217 Zn
1.964 1.134 22.625 Zn
1.964 1.134 29.039 Zn
1.964 -1.134 32.176 Zn
1.964 -1.134 6.481 Zn
1.964 -1.134 13.094 Zn
1.964 -1.134 19.403 Zn
1.964 -1.134 25.847 Zn
1.964 1.134 3.116 Cd
1.964 1.134 9.699 Cd
1.964 1.134 0.592 S
1.964 1.134 7.188 S
1.964 1.134 13.847 S
1.964 1.134 20.217 S
1.964 1.134 26.651 S
1.964 -1.134 4.158 S
1.964 -1.134 10.754 S
1.964 -1.134 17.011 S
1.964 -1.134 23.442 S
1.964 -1.134 29.815 S
```

Summary:
spin magnetization	0.00	μB/f.u.
formation energy from the elements	-23.1	kcal/mol of atoms
corrected total energy (MP2020 scheme)	-73.31	eV for the cell shown
density	4.11	g/cm3